No. 1
Below is crystalline La3SiCl3 at its relaxed geometry, with properties calculated at the PBE level.

Geometry as extended XYZ:
```
28
Lattice="-5.9908 5.9908 5.9908 5.9908 -5.9908 5.9908 5.9908 5.9908 -5.9908" Properties=species:S:1:pos:R:3 pbc="T T T"
La 1.5600 1.4977 -1.4355
La 7.4263 1.5600 -1.4977
La 1.4977 -1.4355 1.5600
La 4.5554 4.4309 -1.4977
La 4.4309 1.4977 1.4355
La -1.4355 1.5600 1.4977
La 4.4309 -1.4977 4.5554
La 1.4977 1.4355 4.4309
La 1.4355 4.4309 1.4977
La 1.5600 -1.4977 7.4263
La -1.4977 7.4263 1.5600
La -1.4977 4.5554 4.4309
Si 4.4931 1.4977 -1.4977
Si 1.4977 1.4977 1.4977
Si 1.4977 -1.4977 4.4931
Si -1.4977 4.4931 1.4977
Cl 7.4886 1.4743 1.5211
Cl 7.4886 -1.4743 4.4697
Cl 4.4697 7.4886 -1.4743
Cl 4.5165 1.5211 4.4931
Cl 4.4931 4.5165 1.5211
Cl 1.5211 7.4886 1.4743
Cl 7.4652 4.4697 4.4931
Cl 1.5211 4.4931 4.5165
Cl 1.4743 1.5211 7.4886
Cl 4.4931 7.4652 4.4697
Cl -1.4743 4.4697 7.4886
Cl 4.4697 4.4931 7.4652
```

## Properties
symmetry: I4_132
final energy: -5.38 eV per atom
ΔE_f: -1.96 eV per atom
calculated density: 4.26 g/cm³



No. 2
Below is crystalline La3Si3Cl2 at its relaxed geometry, with properties calculated at the PBE level.

Geometry as extended XYZ:
```
16
Lattice="9.0955 -2.1235 0.0000 9.0955 2.1235 0.0000 -1.4747 0.0000 10.5737" Properties=species:S:1:pos:R:3 pbc="T T T"
La 0.1528 0.0000 3.4973
La 0.6427 0.0000 10.4729
La 2.3252 0.0000 6.8586
La 14.3912 0.0000 3.7151
La 16.0737 0.0000 0.1008
La 16.5636 0.0000 7.0764
Si 7.1578 0.0000 2.3581
Si 7.2639 0.0000 4.7511
Si 7.4427 0.0000 9.3939
Si 9.2737 0.0000 1.1798
Si 9.4524 0.0000 5.8225
Si 9.5586 0.0000 8.2155
Cl 3.1381 0.0000 3.9542
Cl 3.6626 0.0000 9.4260
Cl 13.0537 0.0000 1.1477
Cl 13.5783 0.0000 6.6194
```

## Properties
symmetry: C2/m
final energy: -5.67 eV per atom
ΔE_f: -1.48 eV per atom
calculated density: 4.65 g/cm³



No. 3
Below is crystalline Sr5La2Cl16 at its relaxed geometry, with properties calculated at the PBE level.

Geometry as extended XYZ:
```
46
Lattice="5.0446 -7.5018 0.0000 5.0446 7.5018 0.0000 0.0000 0.0000 19.1631" Properties=species:S:1:pos:R:3 pbc="T T T"
Sr 2.5223 0.0000 2.2355
Sr 2.5223 0.0000 11.8170
Sr 5.0446 3.7509 4.7908
Sr 5.0446 3.7509 9.9840
Sr 5.0446 3.7509 18.7606
Sr 5.0446 -3.7509 0.4025
Sr 5.0446 -3.7509 9.1791
Sr 5.0446 -3.7509 14.3723
Sr 7.5669 0.0000 7.3460
Sr 7.5669 0.0000 16.9276
La 2.5223 0.0000 7.0424
La 2.5223 0.0000 16.6240
La 7.5669 0.0000 2.5391
La 7.5669 0.0000 12.1207
Cl 3.3726 4.5760 7.7256
Cl 1.3550 1.2621 18.7602
Cl 1.7839 1.5138 14.4575
Cl 4.8891 5.9635 12.1780
Cl 5.2000 5.9635 16.5667
Cl 3.3726 2.9258 1.8560
Cl 1.3550 -1.2621 9.1787
Cl 3.2607 1.5138 4.8759
Cl 1.7839 -1.5138 4.8759
Cl 3.6896 1.2621 9.1787
Cl 6.7165 4.5760 1.8560
Cl 4.8891 1.5383 16.5667
Cl 5.2000 1.5383 12.1780
Cl 3.2607 -1.5138 14.4575
Cl 3.6896 -1.2621 18.7602
Cl 6.7165 2.9258 7.7256
Cl 3.3726 -2.9258 11.4375
Cl 6.3996 1.2621 0.4028
Cl 6.8285 1.5138 4.7056
Cl 4.8891 -1.5383 6.9851
Cl 5.2000 -1.5383 2.5964
Cl 3.3726 -4.5760 17.3071
Cl 6.3996 -1.2621 9.9844
Cl 8.3053 1.5138 14.2871
Cl 6.8285 -1.5138 14.2871
Cl 8.7342 1.2621 9.9844
Cl 6.7165 -2.9258 17.3071
Cl 4.8891 -5.9635 2.5964
Cl 5.2000 -5.9635 6.9851
Cl 8.3053 -1.5138 4.7056
Cl 8.7342 -1.2621 0.4028
Cl 6.7165 -4.5760 11.4375
```

## Properties
symmetry: Ccce
final energy: -4.44 eV per atom
ΔE_f: -2.79 eV per atom
calculated density: 2.94 g/cm³



No. 4
Below is crystalline Sr3La2Cl12 at its relaxed geometry, with properties calculated at the PBE level.

Geometry as extended XYZ:
```
34
Lattice="4.9879 -7.1153 0.0000 4.9879 7.1153 0.0000 -4.9308 0.0000 14.7314" Properties=species:S:1:pos:R:3 pbc="T T T"
Sr 1.2898 5.4203 11.0486
Sr -1.2636 1.7363 13.6010
Sr 1.2018 -1.7363 6.2353
Sr 3.8431 1.7363 8.4961
Sr 6.3085 -1.7363 1.1304
Sr 3.7552 -5.4203 3.6829
La -1.2218 1.8260 8.7530
La 1.2436 -1.8260 1.3873
La 3.8013 1.8260 13.3441
La 6.2667 -1.8260 5.9784
Cl -0.9353 3.3426 11.1540
Cl -3.7544 0.1656 13.6427
Cl -1.2890 -0.1656 6.2770
Cl 1.0476 3.9017 8.5446
Cl 3.9232 3.5680 1.1754
Cl -1.3565 0.0098 10.9817
Cl 1.1089 -0.0098 3.6160
Cl 3.5872 3.5680 6.1903
Cl 1.5319 3.9017 13.5525
Cl 1.2198 0.4303 8.4557
Cl 3.6852 -0.4303 1.0899
Cl 3.5148 3.3426 10.9431
Cl 1.5301 -3.3426 3.7883
Cl 1.3597 0.4303 13.6415
Cl 3.8251 -0.4303 6.2758
Cl 3.5130 -3.9017 1.1789
Cl 1.4578 -3.5680 8.5411
Cl 3.9360 0.0098 11.1154
Cl 6.4014 -0.0098 3.7497
Cl 1.1218 -3.5680 13.5560
Cl 3.9973 -3.9017 6.1868
Cl 6.3339 0.1656 8.4544
Cl 8.7993 -0.1656 1.0887
Cl 5.9802 -3.3426 3.5774
```

## Properties
symmetry: C2/c
final energy: -4.59 eV per atom
ΔE_f: -2.84 eV per atom
calculated density: 3.07 g/cm³



No. 5
Below is crystalline Sr3LaCl9 at its relaxed geometry, with properties calculated at the PBE level.

Geometry as extended XYZ:
```
52
Lattice="7.3894 0.0000 0.0000 0.0000 6.8846 0.0000 -0.9802 0.0000 28.9373" Properties=species:S:1:pos:R:3 pbc="T T T"
Sr 0.0000 0.0257 0.0000
Sr -0.4901 6.8589 14.4686
Sr 3.2509 3.3495 7.5382
Sr 2.7608 3.5351 22.0068
Sr 3.2855 3.3016 14.4729
Sr 3.7756 3.5830 0.0043
Sr 3.8756 0.0961 11.0863
Sr 3.3855 6.7885 25.5550
Sr 3.8889 0.0692 18.0399
Sr 4.3790 6.8154 3.5713
Sr 6.8996 0.1952 7.4992
Sr 6.4095 6.6894 21.9679
La 0.2691 3.3025 11.1432
La -0.2210 3.5821 25.6118
La 0.2206 3.1463 18.0844
La 0.7107 3.7384 3.6157
Cl 0.0597 2.7118 28.5217
Cl 0.5498 4.1729 14.0530
Cl 0.2894 2.2470 23.0922
Cl 0.7795 4.6376 8.6235
Cl 1.1848 2.0020 5.8156
Cl 0.6947 4.8827 20.2843
Cl 1.7351 1.3867 9.3346
Cl 1.2449 5.4979 23.8033
Cl 1.6662 1.2409 12.7535
Cl 1.1761 5.6437 27.2222
Cl 1.6088 1.2702 16.3051
Cl 2.0989 5.6145 1.8364
Cl 2.0446 1.6704 19.7432
Cl 2.5347 5.2142 5.2745
Cl 3.0545 2.4165 2.6818
Cl 2.5644 4.4681 17.1504
Cl 2.4267 2.6720 25.9082
Cl 2.9168 4.2126 11.4396
Cl 3.6364 0.8157 28.7322
Cl 4.1265 6.0689 14.2636
Cl 3.9541 1.0721 22.9250
Cl 4.4442 5.8125 8.4564
Cl 4.9035 1.6331 5.8712
Cl 4.4134 5.2515 20.3399
Cl 5.5617 2.1719 9.3793
Cl 5.0716 4.7127 23.8479
Cl 5.4807 2.0917 12.7694
Cl 4.9906 4.7929 27.2381
Cl 5.4463 2.0453 16.3065
Cl 5.9364 4.8394 1.8379
Cl 5.8127 1.6900 19.7265
Cl 6.3028 5.1946 5.2578
Cl 6.0425 1.0365 25.9544
Cl 6.5326 5.8481 11.4858
Cl 6.8508 1.3733 2.6605
Cl 6.3607 5.5113 17.1291
```

## Properties
symmetry: Pc
final energy: -4.50 eV per atom
ΔE_f: -2.88 eV per atom
calculated density: 3.25 g/cm³



No. 6
Below is crystalline LiCl at its relaxed geometry, with properties calculated at the PBE level.

Geometry as extended XYZ:
```
8
Lattice="5.1527 0.0000 0.0000 0.0000 5.1527 0.0000 0.0000 0.0000 5.1527" Properties=species:S:1:pos:R:3 pbc="T T T"
Li 0.0000 0.0000 0.0000
Li 0.0000 2.5764 2.5764
Li 2.5764 0.0000 2.5764
Li 2.5764 2.5764 0.0000
Cl 0.0000 0.0000 2.5764
Cl 0.0000 2.5764 0.0000
Cl 2.5764 0.0000 0.0000
Cl 2.5764 2.5764 2.5764
```

## Properties
symmetry: Fm-3m
final energy: -3.69 eV per atom
ΔE_f: -2.12 eV per atom
calculated density: 2.06 g/cm³



Which formula does entry 2 have? La3Si3Cl2



The lowest calculated density belongs to which entry? LiCl



The highest ΔE_f belongs to which entry? La3Si3Cl2